# Bi2Te2O7 (PBE-GGA, relaxed)
data_Bi2Te2O7
_space_group_name_H-M_alt 'P 1'
_space_group_IT_number 1
_cell_length_a 5.6179
_cell_length_b 22.3935
_cell_length_c 22.9238
_cell_angle_alpha 90.00
_cell_angle_beta 90.00
_cell_angle_gamma 90.00
loop_
_space_group_symop_operation_xyz
'x,y,z'
loop_
_atom_site_label
_atom_site_type_symbol
_atom_site_fract_x
_atom_site_fract_y
_atom_site_fract_z
O1 O 0.2821 0.1425 0.9738
O2 O 0.6382 0.0782 0.6376
O3 O 0.8632 0.9382 0.6439
O4 O 0.7056 0.6226 0.7582
O5 O 0.7054 0.9959 0.7384
O6 O 0.6888 0.7257 0.8750
O7 O 0.1382 0.4218 0.1376
O8 O 0.3632 0.9382 0.8561
O9 O 0.7553 0.4908 0.4694
O10 O 0.8139 0.5052 0.1014
O11 O 0.7944 0.3774 0.2582
O12 O 0.7553 0.0092 0.5306
O13 O 0.6808 0.7760 0.6313
O14 O 0.7880 0.7552 0.2507
O15 O 0.7880 0.7448 0.7493
O16 O 0.2179 0.8575 0.4738
O17 O 0.8618 0.9218 0.1376
O18 O 0.1888 0.7257 0.6250
O19 O 0.1808 0.7240 0.1313
O20 O 0.7447 0.5092 0.9694
O21 O 0.6368 0.0618 0.1439
O22 O 0.8464 0.8687 0.3822
O23 O 0.8192 0.2760 0.8687
O24 O 0.3121 0.8635 0.6072
O25 O 0.8192 0.2240 0.1313
O26 O 0.8618 0.5782 0.8624
O27 O 0.6861 0.0052 0.3986
O28 O 0.8031 0.1327 0.2332
O29 O 0.6969 0.8673 0.7332
O30 O 0.8121 0.8635 0.8928
O31 O 0.6368 0.4382 0.8561
O32 O 0.3618 0.5782 0.6376
O33 O 0.3464 0.8687 0.1178
O34 O 0.1536 0.1313 0.6178
O35 O 0.3192 0.2760 0.6313
O36 O 0.6861 0.4948 0.6014
O37 O 0.8112 0.2257 0.6250
O38 O 0.6808 0.7240 0.3687
O39 O 0.3112 0.2743 0.1250
O40 O 0.1969 0.8673 0.7668
O41 O 0.3632 0.5618 0.1439
O42 O 0.1879 0.1365 0.1072
O43 O 0.7179 0.8575 0.0262
O44 O 0.7946 0.0041 0.2384
O45 O 0.6536 0.1313 0.8822
O46 O 0.2120 0.2448 0.7493
O47 O 0.7447 0.9908 0.0306
O48 O 0.3112 0.2257 0.8750
O49 O 0.2120 0.2552 0.2507
O50 O 0.2880 0.7552 0.2493
O51 O 0.7946 0.4959 0.7616
O52 O 0.2054 0.9959 0.7616
O53 O 0.1888 0.7743 0.3750
O54 O 0.3139 0.9948 0.6014
O55 O 0.8112 0.2743 0.3750
O56 O 0.6969 0.6327 0.2668
O57 O 0.2553 0.0092 0.9694
O58 O 0.7561 0.3566 0.9654
O59 O 0.7439 0.6434 0.4654
O60 O 0.8632 0.5618 0.3561
O61 O 0.8139 0.9948 0.8986
O62 O 0.7561 0.1434 0.0346
O63 O 0.2056 0.6226 0.7418
O64 O 0.7439 0.8566 0.5346
O65 O 0.1368 0.0618 0.3561
O66 O 0.2946 0.4959 0.7384
O67 O 0.6382 0.4218 0.3624
O68 O 0.3618 0.9218 0.3624
O69 O 0.7120 0.2552 0.2493
O70 O 0.2944 0.1226 0.7582
O71 O 0.7056 0.8774 0.2418
O72 O 0.1536 0.3687 0.3822
O73 O 0.6536 0.3687 0.1178
O74 O 0.1861 0.4948 0.8986
O75 O 0.2821 0.3575 0.0262
O76 O 0.1368 0.4382 0.6439
O77 O 0.1861 0.0052 0.1014
O78 O 0.2179 0.6425 0.5262
O79 O 0.7120 0.2448 0.7507
O80 O 0.3031 0.1327 0.2668
O81 O 0.3464 0.6313 0.8822
O82 O 0.3121 0.6365 0.3928
O83 O 0.2553 0.4908 0.0306
O84 O 0.2561 0.1434 0.4654
O85 O 0.3031 0.3673 0.7332
O86 O 0.2880 0.7448 0.7507
O87 O 0.7821 0.3575 0.4738
O88 O 0.7054 0.5041 0.2616
O89 O 0.2439 0.8566 0.9654
O90 O 0.2439 0.6434 0.0346
O91 O 0.6888 0.7743 0.1250
O92 O 0.7944 0.1226 0.7418
O93 O 0.8464 0.6313 0.6178
O94 O 0.1879 0.3635 0.8928
O95 O 0.1969 0.6327 0.2332
O96 O 0.6879 0.1365 0.3928
O97 O 0.2447 0.9908 0.4694
O98 O 0.8031 0.3673 0.7668
O99 O 0.2561 0.3566 0.5346
O100 O 0.8121 0.6365 0.1072
O101 O 0.2447 0.5092 0.5306
O102 O 0.3139 0.5052 0.3986
O103 O 0.2054 0.5041 0.2384
O104 O 0.1808 0.7760 0.8687
O105 O 0.2944 0.3774 0.2418
O106 O 0.1382 0.0782 0.8624
O107 O 0.7179 0.6425 0.9738
O108 O 0.7821 0.1425 0.5262
O109 O 0.2946 0.0041 0.2616
O110 O 0.6879 0.3635 0.6072
O111 O 0.2056 0.8774 0.2582
O112 O 0.3192 0.2240 0.3687
Te1 Te 0.5001 0.9433 0.4359
Te2 Te 0.4959 0.3067 0.5664
Te3 Te 0.0120 0.3115 0.4326
Te4 Te 0.4241 0.0661 0.3114
Te5 Te 0.9959 0.3067 0.9336
Te6 Te 0.5120 0.1885 0.9326
Te7 Te 0.0001 0.9433 0.0641
Te8 Te 0.0759 0.9339 0.8114
Te9 Te 0.4959 0.1933 0.4336
Te10 Te 0.5759 0.9339 0.6886
Te11 Te 0.5001 0.5567 0.5641
Te12 Te 0.0041 0.6933 0.0664
Te13 Te 0.0120 0.1885 0.5674
Te14 Te 0.9959 0.1933 0.0664
Te15 Te 0.5041 0.6933 0.4336
Te16 Te 0.0041 0.8067 0.9336
Te17 Te 0.4241 0.4339 0.6886
Te18 Te 0.0759 0.5661 0.1886
Te19 Te 0.0001 0.5567 0.9359
Te20 Te 0.5041 0.8067 0.5664
Te21 Te 0.5120 0.3115 0.0674
Te22 Te 0.9880 0.8115 0.4326
Te23 Te 0.5759 0.5661 0.3114
Te24 Te 0.4999 0.0567 0.5641
Te25 Te 0.9241 0.4339 0.8114
Te26 Te 0.9999 0.0567 0.9359
Te27 Te 0.9999 0.4433 0.0641
Te28 Te 0.4880 0.8115 0.0674
Te29 Te 0.9241 0.0661 0.1886
Te30 Te 0.9880 0.6885 0.5674
Te31 Te 0.4999 0.4433 0.4359
Te32 Te 0.4880 0.6885 0.9326
Bi1 Bi 0.9556 0.0693 0.4445
Bi2 Bi 0.4556 0.0693 0.0555
Bi3 Bi 0.9896 0.8208 0.1935
Bi4 Bi 0.9556 0.4307 0.5555
Bi5 Bi 0.4976 0.1958 0.1936
Bi6 Bi 0.5104 0.1792 0.6935
Bi7 Bi 0.5210 0.9438 0.1877
Bi8 Bi 0.4976 0.3042 0.8064
Bi9 Bi 0.0210 0.5562 0.6877
Bi10 Bi 0.5024 0.6958 0.1936
Bi11 Bi 0.5444 0.9307 0.9445
Bi12 Bi 0.4896 0.8208 0.3065
Bi13 Bi 0.9790 0.0562 0.6877
Bi14 Bi 0.4790 0.4438 0.1877
Bi15 Bi 0.4556 0.4307 0.9445
Bi16 Bi 0.9896 0.6792 0.8065
Bi17 Bi 0.0444 0.5693 0.4445
Bi18 Bi 0.0024 0.6958 0.3064
Bi19 Bi 0.0104 0.1792 0.8065
Bi20 Bi 0.4790 0.0562 0.8123
Bi21 Bi 0.5210 0.5562 0.8123
Bi22 Bi 0.0024 0.8042 0.6936
Bi23 Bi 0.0210 0.9438 0.3123
Bi24 Bi 0.9976 0.1958 0.3064
Bi25 Bi 0.5024 0.8042 0.8064
Bi26 Bi 0.5104 0.3208 0.3065
Bi27 Bi 0.5444 0.5693 0.0555
Bi28 Bi 0.9976 0.3042 0.6936
Bi29 Bi 0.4896 0.6792 0.6935
Bi30 Bi 0.9790 0.4438 0.3123
Bi31 Bi 0.0444 0.9307 0.5555
Bi32 Bi 0.0104 0.3208 0.1935
# Energy of formation from the pure elements: -1.6145 eV/atom
# Total DFT energy (no corrections): -5.605 eV per atom
# Symmetry: No. 60
# Crystal system: orthorhombic